## La4PrCo10P10 (PBE)

Data for La4PrCo10P10 after structural relaxation.

Size of the total moment in μB/f.u.: 5.573
Uncorrected energy in Ha/atom: -0.257
ΔE_f in eV per atom: -0.992

Structure (CIF):
```
data_La4PrCo10P10
_cell_length_a 3.803
_cell_length_b 3.803
_cell_length_c 55.313
_cell_angle_alpha 90.00
_cell_angle_beta 90.00
_cell_angle_gamma 90.00
_space_group_name_H-M_alt 'I 4/m m m'
_space_group_IT_number 139
_space_group_name_Hall '-I 4 2'
loop_
_atom_site_label
_atom_site_type_symbol
_atom_site_fract_x
_atom_site_fract_y
_atom_site_fract_z
La1 La 0.000 0.000 0.100
La2 La 0.000 0.000 0.300
Pr1 Pr 0.000 0.000 0.500
Co1 Co 0.000 0.500 0.049
Co2 Co 0.000 0.500 0.150
Co3 Co 0.000 0.500 0.250
P1 P 0.000 0.000 0.028
P2 P 0.000 0.000 0.171
P3 P 0.000 0.000 0.229
P4 P 0.000 0.000 0.371
P5 P 0.000 0.000 0.430
```